#a
This record from Materials Project describes a relaxed structure of UFe10Si2. The functional is GGA-PBE.

The structure belongs to space group Fmmm (No. 69); the cell edges are 4.760, 11.611 and 11.632 Å and the angles 90.00°, 90.00° and 90.00°. Symmetry generates all atoms from U at (0.000, 0.000, 0.000), Fe at (0.000, 0.108, 0.389), Fe at (0.000, 0.177, 0.179), Fe at (0.250, 0.250, 0.000) and Si at (0.250, 0.000, 0.250).


#b
This record from Materials Project describes a relaxed structure of UFe10Si2. The functional is GGA-PBE.

The structure belongs to space group Immm (No. 71); the cell edges are 4.730, 8.163 and 8.374 Å and the angles 90.00°, 90.00° and 90.00°. Symmetry generates all atoms from U at (0.000, 0.000, 0.000), Fe at (0.000, 0.000, 0.360), Fe at (0.000, 0.305, 0.500), Fe at (0.000, 0.351, 0.000), Fe at (0.250, 0.250, 0.250) and Si at (0.000, 0.500, 0.262).


It turns out #b is the most stable, with the second structure 72 meV/atom higher.


#a
This record from Materials Project describes a relaxed structure of U6Fe16Si7. The functional is GGA-PBE.

The structure belongs to space group Fm-3m (No. 225); the cell edges are 11.622, 11.622 and 11.622 Å and the angles 90.00°, 90.00° and 90.00°. Symmetry generates all atoms from U at (0.000, 0.000, 0.218), Fe at (0.122, 0.122, 0.378), Fe at (0.171, 0.171, 0.171), Si at (0.000, 0.000, 0.500) and Si at (0.000, 0.250, 0.250).


#b
This record from Materials Project describes a relaxed structure of U6Fe16Si7. The functional is GGA-PBE.

The structure belongs to space group F-43m (No. 216); the cell edges are 11.617, 11.617 and 11.617 Å and the angles 90.00°, 90.00° and 90.00°. Symmetry generates all atoms from U at (0.000, 0.000, 0.218), Fe at (0.121, 0.121, 0.621), Fe at (0.123, 0.123, 0.377), Fe at (0.159, 0.159, 0.841), Fe at (0.175, 0.175, 0.175), Si at (0.000, 0.000, 0.500) and Si at (0.003, 0.250, 0.750).


It turns out #b is the most stable, with the second structure 11 meV/atom higher.